# 1
! GGA+U CaMo2P2O9, relaxed; values from VASP
! **Calculated formation energy**: -61.1 kcal/mol of atoms
! **Magnetic moment**: 0.0 Bohr magnetons per cell
! **Space group**: Pnma
! **Uncorrected energy**: -7.40 eV per atom
&SYSTEM
  ibrav = 0, nat = 56, ntyp = 4
/
ATOMIC_SPECIES
O 16.00 O.upf
P 30.97 P.upf
Mo 95.94 Mo.upf
Ca 40.08 Ca.upf
CELL_PARAMETERS angstrom
6.742 0.000 0.000
0.000 7.474 0.000
0.000 0.000 15.047
ATOMIC_POSITIONS crystal
O 0.058 0.897 0.866
O 0.442 0.897 0.866
O 0.442 0.603 0.366
O 0.750 0.818 0.022
O 0.942 0.397 0.634
O 0.430 0.126 0.364
O 0.558 0.103 0.134
O 0.750 0.946 0.259
O 0.570 0.874 0.636
O 0.250 0.516 0.996
O 0.930 0.874 0.636
O 0.250 0.446 0.241
O 0.250 0.984 0.496
O 0.750 0.383 0.437
O 0.750 0.016 0.504
O 0.558 0.397 0.634
O 0.750 0.224 0.750
O 0.250 0.776 0.250
O 0.930 0.626 0.136
O 0.430 0.374 0.864
O 0.250 0.054 0.741
O 0.250 0.617 0.563
O 0.750 0.554 0.759
O 0.750 0.276 0.250
O 0.750 0.484 0.004
O 0.250 0.724 0.750
O 0.750 0.682 0.522
O 0.058 0.603 0.366
O 0.750 0.117 0.937
O 0.070 0.126 0.364
O 0.570 0.626 0.136
O 0.250 0.318 0.478
O 0.250 0.182 0.978
O 0.250 0.883 0.063
O 0.942 0.103 0.134
O 0.070 0.374 0.864
P 0.250 0.132 0.428
P 0.250 0.368 0.928
P 0.250 0.604 0.309
P 0.750 0.632 0.072
P 0.250 0.896 0.809
P 0.750 0.396 0.691
P 0.750 0.104 0.191
P 0.750 0.868 0.572
Mo 0.500 0.000 0.000
Mo 0.750 0.136 0.377
Mo 0.000 0.000 0.000
Mo 0.000 0.500 0.500
Mo 0.250 0.636 0.123
Mo 0.750 0.364 0.877
Mo 0.250 0.864 0.623
Mo 0.500 0.500 0.500
Ca 0.750 0.900 0.778
Ca 0.250 0.100 0.222
Ca 0.750 0.600 0.278
Ca 0.250 0.400 0.722

=====

# 2
! GGA+U DyTlMo2O8, relaxed; values from VASP
! **Calculated formation energy**: -54.9 kcal/mol of atoms
! **Magnetic moment**: 0.0 Bohr magnetons per cell
! **Space group**: Pbcn
! **Uncorrected energy**: -7.07 eV per atom
&SYSTEM
  ibrav = 0, nat = 48, ntyp = 4
/
ATOMIC_SPECIES
O 16.00 O.upf
Dy 162.50 Dy.upf
Mo 95.94 Mo.upf
Tl 204.38 Tl.upf
CELL_PARAMETERS angstrom
-1.648 4.871 0.070
-0.595 -0.085 -8.135
-17.740 -6.020 1.360
ATOMIC_POSITIONS crystal
O 0.752 0.495 0.965
O 0.400 0.975 0.813
O 0.248 0.505 0.035
O 0.900 0.525 0.313
O 0.743 0.810 0.910
O 0.400 0.475 0.187
O 0.757 0.810 0.410
O 0.243 0.190 0.590
O 0.257 0.190 0.090
O 0.731 0.661 0.098
O 0.769 0.661 0.598
O 0.231 0.339 0.402
O 0.748 0.995 0.535
O 0.600 0.525 0.813
O 0.731 0.161 0.902
O 0.231 0.839 0.598
O 0.248 0.005 0.965
O 0.748 0.495 0.465
O 0.743 0.310 0.090
O 0.769 0.161 0.402
O 0.243 0.690 0.410
O 0.269 0.839 0.098
O 0.600 0.025 0.187
O 0.100 0.475 0.687
O 0.900 0.025 0.687
O 0.257 0.690 0.910
O 0.757 0.310 0.590
O 0.252 0.005 0.465
O 0.100 0.975 0.313
O 0.252 0.505 0.535
O 0.269 0.339 0.902
O 0.752 0.995 0.035
Dy 0.500 0.250 0.494
Dy 0.500 0.750 0.506
Dy 0.000 0.750 0.006
Dy 0.000 0.250 0.994
Mo 0.022 0.516 0.400
Mo 0.522 0.984 0.900
Mo 0.022 0.016 0.600
Mo 0.522 0.484 0.100
Mo 0.478 0.016 0.100
Mo 0.478 0.516 0.900
Mo 0.978 0.984 0.400
Mo 0.978 0.484 0.600
Tl 0.500 0.250 0.730
Tl 0.000 0.750 0.770
Tl 0.000 0.250 0.230
Tl 0.500 0.750 0.270

=====

# 3
! GGA+U Sr2AlCu2NiO7, relaxed; values from VASP
! **Calculated formation energy**: -47.1 kcal/mol of atoms
! **Magnetic moment**: 6.0 Bohr magnetons per cell
! **Space group**: Cc
! **Uncorrected energy**: -5.76 eV per atom
&SYSTEM
  ibrav = 0, nat = 26, ntyp = 5
/
ATOMIC_SPECIES
O 16.00 O.upf
Al 26.98 Al.upf
Ni 58.69 Ni.upf
Cu 63.55 Cu.upf
Sr 87.62 Sr.upf
CELL_PARAMETERS angstrom
5.173 0.000 -1.192
-0.284 5.265 -1.227
0.057 0.028 12.056
ATOMIC_POSITIONS crystal
O 0.859 0.876 0.108
O 0.603 0.621 0.890
O 0.714 0.380 0.111
O 0.143 0.707 0.348
O 0.103 0.769 0.890
O 0.796 0.294 0.653
O 0.359 0.733 0.108
O 0.214 0.232 0.111
O 0.251 0.268 0.893
O 0.637 0.642 0.500
O 0.295 0.859 0.652
O 0.644 0.141 0.348
O 0.138 0.358 0.500
O 0.751 0.125 0.893
Al 0.485 0.500 0.000
Al 0.985 0.001 0.000
Ni 0.779 0.322 0.500
Ni 0.279 0.679 0.500
Cu 0.043 0.559 0.119
Cu 0.924 0.442 0.881
Cu 0.424 0.940 0.882
Cu 0.543 0.061 0.120
Sr 0.141 0.137 0.302
Sr 0.641 0.665 0.302
Sr 0.339 0.335 0.699
Sr 0.839 0.863 0.699

=====

# 4
! GGA+U NbFeO3, relaxed; values from VASP
! **Calculated formation energy**: -44.1 kcal/mol of atoms
! **Magnetic moment**: 3.1 Bohr magnetons per cell
! **Space group**: Pm-3m
! **Uncorrected energy**: -7.73 eV per atom
&SYSTEM
  ibrav = 0, nat = 5, ntyp = 3
/
ATOMIC_SPECIES
O 16.00 O.upf
Nb 92.91 Nb.upf
Fe 55.84 Fe.upf
CELL_PARAMETERS angstrom
4.004 0.000 0.000
0.000 4.004 0.000
0.000 0.000 4.004
ATOMIC_POSITIONS crystal
O 0.000 0.500 0.500
O 0.500 0.500 0.000
O 0.500 0.000 0.500
Nb 0.500 0.500 0.500
Fe 0.000 0.000 0.000

=====

# 5
! GGA+U K2MnH4I4O14, relaxed; values from VASP
! **Calculated formation energy**: -29.5 kcal/mol of atoms
! **Magnetic moment**: 10.0 Bohr magnetons per cell
! **Uncorrected energy**: -4.84 eV per atom
&SYSTEM
  ibrav = 0, nat = 50, ntyp = 5
/
ATOMIC_SPECIES
H 1.01 H.upf
O 16.00 O.upf
K 39.10 K.upf
I 126.90 I.upf
Mn 54.94 Mn.upf
CELL_PARAMETERS angstrom
-7.803 -2.127 -0.384
-7.072 12.211 0.831
-4.049 0.496 -6.994
ATOMIC_POSITIONS crystal
H 0.483 0.312 0.985
H 0.895 0.236 0.729
H 0.015 0.688 0.517
H 0.271 0.764 0.105
H 0.395 0.736 0.229
H 0.515 0.188 0.017
H 0.983 0.813 0.485
H 0.771 0.264 0.605
O 0.080 0.566 0.504
O 0.572 0.292 0.582
O 0.555 0.891 0.344
O 0.432 0.250 0.068
O 0.072 0.792 0.082
O 0.234 0.085 0.347
O 0.485 0.766 0.691
O 0.653 0.915 0.766
O 0.309 0.234 0.515
O 0.985 0.266 0.191
O 0.809 0.734 0.015
O 0.055 0.391 0.844
O 0.933 0.750 0.567
O 0.402 0.750 0.098
O 0.656 0.109 0.445
O 0.153 0.415 0.266
O 0.901 0.250 0.599
O 0.918 0.208 0.928
O 0.496 0.434 0.920
O 0.580 0.066 0.004
O 0.996 0.934 0.420
O 0.493 0.437 0.270
O 0.418 0.708 0.428
O 0.156 0.609 0.945
O 0.734 0.585 0.847
O 0.230 0.063 0.007
O 0.993 0.937 0.770
O 0.730 0.563 0.507
K 0.869 0.000 0.131
K 0.349 0.000 0.651
K 0.849 0.500 0.151
K 0.369 0.500 0.631
I 0.349 0.492 0.143
I 0.072 0.741 0.895
I 0.857 0.508 0.651
I 0.357 0.008 0.151
I 0.605 0.759 0.428
I 0.849 0.992 0.643
I 0.572 0.241 0.395
I 0.105 0.259 0.928
Mn 0.164 0.250 0.336
Mn 0.664 0.750 0.836

=====

# 6
! GGA+U NaNiAsO4, relaxed; values from VASP
! **Calculated formation energy**: -40.5 kcal/mol of atoms
! **Magnetic moment**: 0.0 Bohr magnetons per cell
! **Uncorrected energy**: -5.51 eV per atom
&SYSTEM
  ibrav = 0, nat = 28, ntyp = 4
/
ATOMIC_SPECIES
O 16.00 O.upf
Na 22.99 Na.upf
As 74.92 As.upf
Ni 58.69 Ni.upf
CELL_PARAMETERS angstrom
-2.236 -4.297 1.342
4.830 -0.008 8.016
-7.451 4.297 1.342
ATOMIC_POSITIONS crystal
O 0.172 0.363 0.292
O 0.830 0.637 0.051
O 0.000 0.113 0.371
O 0.500 0.887 0.129
O 0.843 0.637 0.378
O 0.330 0.637 0.551
O 0.670 0.363 0.449
O 0.500 0.113 0.871
O 0.672 0.363 0.792
O 0.343 0.637 0.878
O 0.000 0.887 0.629
O 0.828 0.637 0.708
O 0.157 0.363 0.622
O 0.170 0.363 0.949
O 0.657 0.363 0.122
O 0.328 0.637 0.208
Na 0.500 0.862 0.787
Na 0.500 0.138 0.213
Na 0.000 0.138 0.713
Na 0.000 0.862 0.287
As 0.000 0.698 0.566
As 0.500 0.302 0.934
As 0.500 0.698 0.066
As 0.000 0.302 0.434
Ni 0.500 0.493 0.664
Ni 0.000 0.507 0.836
Ni 0.500 0.507 0.336
Ni 0.000 0.493 0.164

=====

# 7
! GGA+U K2Na4Li2Ti4Mn3FeSi16O48, relaxed; values from VASP
! **Calculated formation energy**: -70.0 kcal/mol of atoms
! **Magnetic moment**: 19.0 Bohr magnetons per cell
! **Space group**: P1
! **Uncorrected energy**: -7.57 eV per atom
&SYSTEM
  ibrav = 0, nat = 80, ntyp = 8
/
ATOMIC_SPECIES
O 16.00 O.upf
Si 28.09 Si.upf
Mn 54.94 Mn.upf
Li 6.94 Li.upf
Na 22.99 Na.upf
Ti 47.87 Ti.upf
K 39.10 K.upf
Fe 55.84 Fe.upf
CELL_PARAMETERS angstrom
-3.201 -6.099 -7.410
0.002 -9.963 3.362
-10.136 -2.357 1.512
ATOMIC_POSITIONS crystal
O 0.465 0.079 0.341
O 0.481 0.581 0.341
O 0.256 0.073 0.168
O 0.936 0.131 0.788
O 0.534 0.815 0.329
O 0.241 0.268 0.940
O 0.569 0.997 0.093
O 0.465 0.186 0.671
O 0.564 0.212 0.868
O 0.737 0.193 0.601
O 0.905 0.129 0.274
O 0.965 0.672 0.186
O 0.274 0.610 0.712
O 0.018 0.659 0.421
O 0.069 0.092 0.997
O 0.726 0.389 0.288
O 0.261 0.812 0.396
O 0.920 0.904 0.512
O 0.774 0.713 0.610
O 0.431 0.003 0.908
O 0.419 0.514 0.904
O 0.237 0.602 0.193
O 0.243 0.832 0.928
O 0.402 0.273 0.131
O 0.436 0.788 0.131
O 0.020 0.668 0.672
O 0.081 0.095 0.484
O 0.980 0.333 0.328
O 0.964 0.341 0.079
O 0.063 0.869 0.213
O 0.480 0.329 0.333
O 0.763 0.399 0.807
O 0.536 0.922 0.659
O 0.930 0.908 0.003
O 0.227 0.287 0.390
O 0.983 0.338 0.580
O 0.098 0.869 0.727
O 0.517 0.420 0.659
O 0.036 0.659 0.922
O 0.743 0.927 0.832
O 0.757 0.168 0.074
O 0.598 0.727 0.869
O 0.259 0.060 0.732
O 0.520 0.672 0.667
O 0.035 0.328 0.814
O 0.581 0.487 0.097
O 0.742 0.939 0.268
O 0.759 0.732 0.061
Si 0.081 0.704 0.251
Si 0.936 0.743 0.550
Si 0.893 0.293 0.244
Si 0.081 0.252 0.956
Si 0.608 0.756 0.707
Si 0.919 0.296 0.749
Si 0.436 0.550 0.742
Si 0.581 0.956 0.252
Si 0.065 0.256 0.449
Si 0.919 0.748 0.044
Si 0.392 0.244 0.293
Si 0.418 0.751 0.296
Si 0.107 0.707 0.756
Si 0.581 0.251 0.703
Si 0.419 0.044 0.748
Si 0.564 0.450 0.258
Mn 0.904 0.027 0.653
Mn 0.598 0.345 0.973
Mn 0.402 0.655 0.027
Li 0.750 0.073 0.926
Li 0.249 0.927 0.075
Na 0.302 0.949 0.527
Na 0.198 0.472 0.052
Na 0.698 0.051 0.473
Na 0.802 0.527 0.948
Ti 0.881 0.034 0.144
Ti 0.620 0.856 0.965
Ti 0.380 0.144 0.035
Ti 0.120 0.966 0.856
K 0.250 0.432 0.568
K 0.750 0.568 0.432
Fe 0.097 0.971 0.346

=====

# 8
! GGA+U CaMn6O5F7, relaxed; values from VASP
! **Calculated formation energy**: -59.0 kcal/mol of atoms
! **Magnetic moment**: 9.0 Bohr magnetons per cell
! **Space group**: P1
! **Uncorrected energy**: -6.69 eV per atom
&SYSTEM
  ibrav = 0, nat = 19, ntyp = 4
/
ATOMIC_SPECIES
F 19.00 F.upf
Mn 54.94 Mn.upf
O 16.00 O.upf
Ca 40.08 Ca.upf
CELL_PARAMETERS angstrom
-4.661 4.626 2.929
0.578 5.207 -2.950
-5.597 -0.731 -3.224
ATOMIC_POSITIONS crystal
F 0.024 0.652 0.277
F 0.608 0.017 0.684
F 0.684 0.579 0.028
F 0.014 0.367 0.632
F 0.301 0.837 0.944
F 0.350 0.295 0.019
F 0.374 0.456 0.390
Mn 0.855 0.724 0.603
Mn 0.171 0.308 0.318
Mn 0.510 0.930 0.070
Mn 0.001 0.946 0.047
Mn 0.678 0.351 0.312
Mn 0.325 0.783 0.600
O 0.636 0.561 0.544
O 0.007 0.861 0.765
O 0.964 0.198 0.258
O 0.713 0.090 0.119
O 0.319 0.015 0.364
Ca 0.706 0.292 0.798

=====

# 9
! GGA+U Li6V3FeP6O24, relaxed; values from VASP
! **Calculated formation energy**: -60.6 kcal/mol of atoms
! **Magnetic moment**: 11.0 Bohr magnetons per cell
! **Space group**: P1
! **Uncorrected energy**: -6.99 eV per atom
&SYSTEM
  ibrav = 0, nat = 40, ntyp = 5
/
ATOMIC_SPECIES
O 16.00 O.upf
Fe 55.84 Fe.upf
Li 6.94 Li.upf
P 30.97 P.upf
V 50.94 V.upf
CELL_PARAMETERS angstrom
8.628 -0.258 -0.168
4.355 7.454 -0.193
4.364 2.395 7.075
ATOMIC_POSITIONS crystal
O 0.014 0.806 0.614
O 0.528 0.121 0.298
O 0.734 0.937 0.084
O 0.087 0.737 0.934
O 0.594 0.433 0.241
O 0.238 0.594 0.429
O 0.375 0.000 0.209
O 0.200 0.383 0.988
O 0.046 0.921 0.270
O 0.455 0.232 0.579
O 0.263 0.070 0.906
O 0.934 0.086 0.731
O 0.409 0.572 0.764
O 0.613 0.013 0.810
O 0.571 0.768 0.406
O 0.766 0.410 0.571
O 0.888 0.691 0.487
O 0.299 0.513 0.119
O 0.693 0.485 0.889
O 0.809 0.612 0.014
O 0.973 0.202 0.380
O 0.488 0.889 0.690
O 0.126 0.289 0.502
O 0.905 0.259 0.071
Fe 0.852 0.850 0.852
Li 0.750 0.153 0.348
Li 0.025 0.006 0.997
Li 0.243 0.847 0.657
Li 0.660 0.240 0.846
Li 0.474 0.502 0.491
Li 0.845 0.662 0.241
P 0.047 0.751 0.451
P 0.545 0.961 0.249
P 0.750 0.453 0.047
P 0.249 0.545 0.958
P 0.956 0.248 0.541
P 0.453 0.051 0.748
V 0.645 0.646 0.646
V 0.356 0.362 0.355
V 0.144 0.145 0.138

=====

# 10
! GGA+U TbCrO4, relaxed; values from VASP
! **Calculated formation energy**: -63.5 kcal/mol of atoms
! **Magnetic moment**: 2.0 Bohr magnetons per cell
! **Space group**: I4_1/a
! **Uncorrected energy**: -7.64 eV per atom
&SYSTEM
  ibrav = 0, nat = 12, ntyp = 3
/
ATOMIC_SPECIES
Tb 158.93 Tb.upf
O 16.00 O.upf
Cr 52.00 Cr.upf
CELL_PARAMETERS angstrom
5.086 0.000 0.000
0.000 5.086 0.000
-2.543 -2.543 5.678
ATOMIC_POSITIONS crystal
Tb 0.375 0.125 0.750
Tb 0.625 0.875 0.250
O 0.057 0.710 0.404
O 0.694 0.557 0.904
O 0.943 0.290 0.596
O 0.790 0.154 0.096
O 0.210 0.846 0.904
O 0.346 0.194 0.404
O 0.306 0.443 0.096
O 0.654 0.806 0.596
Cr 0.875 0.625 0.750
Cr 0.125 0.375 0.250

=====

> What is the formula in the first record?

CaMo2P2O9